Record 1
Density functional theory data (PBE-GGA) for an optimized crystal structure of CaPrTi2O6.

Unit cell a=5.504 b=5.550 c=7.836 alpha=90.00 beta=90.00 gamma=90.00
Fractional coordinates of all 20 atoms:
Ca 0.490 0.207 0.000
Ca 0.990 0.793 0.500
Pr 0.010 0.709 0.000
Pr 0.510 0.291 0.500
Ti 0.000 0.248 0.750
Ti 0.000 0.248 0.250
Ti 0.500 0.752 0.250
Ti 0.500 0.752 0.750
O 0.078 0.229 0.500
O 0.215 0.965 0.792
O 0.215 0.965 0.208
O 0.287 0.464 0.207
O 0.287 0.464 0.793
O 0.418 0.732 0.500
O 0.578 0.771 0.000
O 0.715 0.035 0.708
O 0.715 0.035 0.292
O 0.787 0.536 0.707
O 0.787 0.536 0.293
O 0.918 0.268 0.000

The total magnetization comes out at 0.01 μB/atom.

Record 2
Density functional theory data (PBE-GGA) for an optimized crystal structure of SrIF.

Unit cell a=4.282 b=4.282 c=9.378 alpha=90.00 beta=90.00 gamma=90.00
Fractional coordinates of all 6 atoms:
Sr 0.500 0.000 0.145
Sr 0.000 0.500 0.855
I 0.500 0.000 0.680
I 0.000 0.500 0.320
F 0.500 0.500 0.000
F 0.000 0.000 0.000

Record 3
Density functional theory data (PBE-GGA) for an optimized crystal structure of Mn.

Unit cell a=2.424 b=2.424 c=2.424 alpha=109.47 beta=109.47 gamma=109.47
Fractional coordinates of all 1 atoms:
Mn 0.000 0.000 0.000

For the relative energy among the computed polymorphs, the calculation gives 14 kJ/mol of formula units.

Record 4
Density functional theory data (PBE-GGA) for an optimized crystal structure of BaCu2P2O8.

Unit cell a=9.354 b=9.389 c=10.702 alpha=106.93 beta=101.71 gamma=115.37
Fractional coordinates of all 52 atoms:
Ba 0.759 0.756 0.003
Ba 0.241 0.244 0.997
Ba 0.736 0.751 0.514
Ba 0.264 0.249 0.486
Cu 0.099 0.763 0.293
Cu 0.030 0.687 0.801
Cu 0.363 0.709 0.689
Cu 0.484 0.832 0.196
Cu 0.901 0.237 0.707
Cu 0.970 0.313 0.199
Cu 0.516 0.168 0.804
Cu 0.637 0.291 0.311
P 0.213 0.944 0.135
P 0.289 0.570 0.867
P 0.195 0.920 0.628
P 0.297 0.577 0.360
P 0.805 0.080 0.372
P 0.703 0.423 0.640
P 0.711 0.430 0.133
P 0.787 0.056 0.865
O 0.273 0.109 0.743
O 0.638 0.872 0.818
O 0.865 0.406 0.658
O 0.262 0.809 0.149
O 0.747 0.289 0.162
O 0.642 0.099 0.343
O 0.358 0.901 0.657
O 0.897 0.055 0.771
O 0.103 0.945 0.229
O 0.738 0.191 0.851
O 0.909 0.119 0.019
O 0.784 0.618 0.748
O 0.135 0.594 0.342
O 0.044 0.781 0.641
O 0.091 0.881 0.981
O 0.862 0.078 0.517
O 0.624 0.410 0.491
O 0.216 0.382 0.252
O 0.560 0.296 0.668
O 0.440 0.704 0.332
O 0.956 0.219 0.359
O 0.138 0.922 0.483
O 0.350 0.517 0.745
O 0.376 0.590 0.509
O 0.253 0.711 0.838
O 0.867 0.581 0.135
O 0.650 0.483 0.255
O 0.133 0.419 0.865
O 0.562 0.348 0.990
O 0.727 0.891 0.257
O 0.438 0.652 0.010
O 0.362 0.128 0.182

For the relative energy among the computed polymorphs, the calculation gives 0 kJ/mol of formula units. The total magnetization comes out at 0.15 μB/atom.

Record 5
Density functional theory data (PBE-GGA) for an optimized crystal structure of Na4La2Si3Ge2S3O24.

Unit cell a=9.295 b=9.520 c=23.229 alpha=91.11 beta=87.61 gamma=119.84
Fractional coordinates of all 114 atoms:
Na 0.967 0.636 0.253
Na 0.996 0.366 0.750
Na 0.655 0.976 0.588
Na 0.661 0.692 0.077
Na 0.337 0.298 0.911
Na 0.323 0.023 0.414
Na 0.012 0.993 0.509
Na 0.996 0.995 0.005
Na 0.656 0.314 0.832
Na 0.652 0.334 0.337
Na 0.322 0.673 0.166
Na 0.305 0.663 0.666
La 0.987 0.993 0.354
La 0.993 0.980 0.849
La 0.659 0.337 0.685
La 0.649 0.318 0.186
La 0.328 0.686 0.015
La 0.319 0.656 0.518
Si 0.285 0.970 0.257
Si 0.667 0.692 0.257
Si 0.294 0.311 0.758
Si 0.726 0.997 0.743
Si 0.962 0.324 0.589
Si 0.368 0.065 0.580
Si 0.962 0.642 0.090
Si 0.637 0.655 0.922
Si 0.013 0.634 0.416
Ge 0.041 0.086 0.647
Ge 0.966 0.902 0.163
Ge 0.706 0.400 0.980
Ge 0.693 0.339 0.494
Ge 0.292 0.651 0.304
Ge 0.437 0.663 0.800
S 0.017 0.313 0.251
S 0.023 0.702 0.746
S 0.693 0.640 0.575
S 0.687 0.031 0.082
S 0.354 0.321 0.077
S 0.019 0.371 0.915
S 0.356 0.984 0.911
S 0.618 0.986 0.420
S 0.349 0.371 0.412
O 0.222 0.000 0.318
O 0.809 0.790 0.301
O 0.005 0.232 0.305
O 0.212 0.224 0.818
O 0.008 0.773 0.803
O 0.818 0.021 0.801
O 0.833 0.980 0.684
O 0.169 0.227 0.701
O 0.023 0.797 0.697
O 0.760 0.802 0.191
O 0.030 0.232 0.199
O 0.136 0.934 0.203
O 0.900 0.343 0.653
O 0.486 0.119 0.635
O 0.668 0.553 0.630
O 0.874 0.558 0.150
O 0.672 0.110 0.135
O 0.463 0.339 0.126
O 0.442 0.313 0.021
O 0.838 0.560 0.031
O 0.690 0.118 0.029
O 0.478 0.193 0.524
O 0.695 0.535 0.524
O 0.824 0.297 0.538
O 0.534 0.645 0.980
O 0.119 0.465 0.965
O 0.345 0.900 0.966
O 0.552 0.900 0.475
O 0.344 0.454 0.466
O 0.146 0.687 0.466
O 0.114 0.613 0.353
O 0.517 0.893 0.370
O 0.347 0.460 0.360
O 0.086 0.453 0.860
O 0.353 0.888 0.860
O 0.514 0.625 0.862
O 0.984 0.789 0.410
O 0.794 0.026 0.414
O 0.201 0.201 0.416
O 0.997 0.206 0.918
O 0.209 0.012 0.915
O 0.816 0.811 0.921
O 0.959 0.144 0.587
O 0.184 0.059 0.597
O 0.848 0.795 0.572
O 0.968 0.826 0.092
O 0.839 0.013 0.082
O 0.193 0.172 0.082
O 0.679 0.138 0.739
O 0.484 0.355 0.753
O 0.875 0.532 0.748
O 0.645 0.513 0.248
O 0.881 0.355 0.251
O 0.467 0.111 0.240
O 0.645 0.480 0.920
O 0.846 0.363 0.924
O 0.508 0.148 0.910
O 0.615 0.145 0.423
O 0.501 0.355 0.410
O 0.836 0.458 0.432
O 0.338 0.470 0.079
O 0.148 0.674 0.085
O 0.539 0.858 0.083
O 0.337 0.881 0.569
O 0.551 0.671 0.571
O 0.152 0.467 0.583
O 0.268 0.786 0.254
O 0.490 0.697 0.267
O 0.183 0.482 0.250
O 0.300 0.496 0.759
O 0.176 0.688 0.745
O 0.545 0.809 0.748

The total magnetization comes out at 0.01 μB/atom.

Record 6
Density functional theory data (PBE-GGA) for an optimized crystal structure of Mn8Sn5.

Unit cell a=5.456 b=7.510 c=21.532 alpha=90.00 beta=90.00 gamma=90.00
Fractional coordinates of all 52 atoms:
Mn 0.250 0.839 0.699
Mn 0.750 0.161 0.301
Mn 0.750 0.661 0.199
Mn 0.250 0.339 0.801
Mn 0.006 0.512 0.704
Mn 0.994 0.488 0.296
Mn 0.994 0.988 0.204
Mn 0.506 0.488 0.296
Mn 0.006 0.012 0.796
Mn 0.494 0.512 0.704
Mn 0.494 0.012 0.796
Mn 0.506 0.988 0.204
Mn 0.250 0.840 0.103
Mn 0.750 0.160 0.897
Mn 0.750 0.660 0.603
Mn 0.250 0.340 0.397
Mn 0.000 0.500 0.500
Mn 0.000 0.000 0.000
Mn 0.500 0.500 0.500
Mn 0.500 0.000 0.000
Mn 0.250 0.335 0.003
Mn 0.750 0.665 0.997
Mn 0.750 0.165 0.503
Mn 0.250 0.835 0.497
Mn 0.000 0.979 0.598
Mn 0.000 0.021 0.402
Mn 0.000 0.521 0.098
Mn 0.500 0.021 0.402
Mn 0.000 0.479 0.902
Mn 0.500 0.979 0.598
Mn 0.500 0.479 0.902
Mn 0.500 0.521 0.098
Sn 0.250 0.686 0.990
Sn 0.750 0.314 0.010
Sn 0.750 0.814 0.490
Sn 0.250 0.186 0.510
Sn 0.250 0.654 0.207
Sn 0.750 0.346 0.793
Sn 0.750 0.846 0.707
Sn 0.250 0.154 0.293
Sn 0.250 0.690 0.386
Sn 0.750 0.310 0.614
Sn 0.750 0.810 0.886
Sn 0.250 0.190 0.114
Sn 0.250 0.687 0.811
Sn 0.750 0.313 0.189
Sn 0.750 0.813 0.311
Sn 0.250 0.187 0.689
Sn 0.250 0.631 0.599
Sn 0.750 0.369 0.401
Sn 0.750 0.869 0.099
Sn 0.250 0.131 0.901

The total magnetization comes out at 1.71 μB/atom.

Here are the calculated formation energy from the elements numbers, same order: -3587; -2998; 145; -2374; -2461; 90 (meV per atom).
Here are the calculated uncorrected energy numbers, same order: -8.40; -4.55; -9.02; -6.61; -6.55; -7.09 (eV/atom).